Record 1
# Li5V3P8O29

A relaxed Li5V3P8O29 crystal (PBE with a Hubbard U, the Materials Project).

Lattice parameters (Å, degrees): 9.721 9.757 14.093 89.56 89.70 60.39
Fractional positions:
Li 0.000 0.000 0.000
Li 0.003 0.129 0.496
Li 0.235 0.231 0.374
Li 0.239 0.670 0.881
Li 0.317 0.977 0.950
Li 0.360 0.849 0.431
Li 0.433 0.560 0.495
Li 0.569 0.989 0.493
Li 0.572 0.564 0.999
Li 0.663 0.806 0.880
V 0.334 0.463 0.690
V 0.337 0.330 0.182
V 0.769 0.900 0.682
V 0.771 0.463 0.190
V 0.900 0.897 0.189
V 0.901 0.332 0.689
P 0.006 0.561 0.305
P 0.021 0.123 0.281
P 0.021 0.985 0.781
P 0.113 0.206 0.098
P 0.117 0.812 0.598
P 0.247 0.674 0.096
P 0.248 0.212 0.593
P 0.420 0.119 0.776
P 0.422 0.585 0.278
P 0.556 0.985 0.279
P 0.564 0.583 0.782
P 0.640 0.675 0.597
P 0.645 0.812 0.095
P 0.668 0.235 0.568
P 0.670 0.234 0.068
P 0.995 0.570 0.805
O 0.007 0.706 0.260
O 0.077 0.236 0.597
O 0.080 0.819 0.096
O 0.102 0.124 0.371
O 0.103 0.908 0.872
O 0.126 0.100 0.018
O 0.133 0.903 0.517
O 0.136 0.106 0.195
O 0.139 0.885 0.696
O 0.145 0.576 0.768
O 0.151 0.406 0.267
O 0.241 0.521 0.109
O 0.243 0.369 0.610
O 0.249 0.243 0.098
O 0.253 0.639 0.599
O 0.330 0.129 0.503
O 0.333 0.697 0.188
O 0.336 0.105 0.859
O 0.337 0.672 0.008
O 0.342 0.097 0.680
O 0.353 0.671 0.369
O 0.412 0.154 0.273
O 0.415 0.280 0.766
O 0.416 0.433 0.267
O 0.417 0.562 0.780
O 0.523 0.387 0.609
O 0.527 0.226 0.114
O 0.531 0.689 0.518
O 0.537 0.895 0.187
O 0.543 0.909 0.369
O 0.544 0.699 0.696
O 0.556 0.886 0.005
O 0.574 0.659 0.872
O 0.594 0.982 0.772
O 0.595 0.554 0.269
O 0.656 0.088 0.605
O 0.662 0.387 0.112
O 0.666 0.249 0.963
O 0.673 0.815 0.594
O 0.676 0.237 0.462
O 0.678 0.638 0.099
O 0.711 0.988 0.266
O 0.716 0.423 0.763
O 0.794 0.515 0.606
O 0.799 0.817 0.107
O 0.824 0.222 0.612
O 0.825 0.087 0.105
O 0.844 0.713 0.762
O 0.858 0.559 0.255
O 0.863 0.280 0.265
O 0.865 0.987 0.765
O 0.950 0.357 0.106
O 0.955 0.818 0.606
O 0.988 0.568 0.910
O 0.992 0.983 0.274
O 0.996 0.155 0.770
O 0.996 0.556 0.410
O 0.999 0.421 0.755

## Properties
Its energy above the lowest structure with this stoichiometry is 0.003 eV per atom. The calculation puts the total energy at -316.351 eV per formula unit. The calculation puts the calculated volume at 12.9 Å³ per atom. The space group is P1. The value obtained for the calculated density is 2.57 g/cm3.

Record 2
# LiVP2O7

A relaxed LiVP2O7 crystal (PBE with a Hubbard U, the Materials Project).

Lattice parameters (Å, degrees): 6.352 6.476 6.861 85.59 67.02 81.99
Fractional positions:
Li 0.209 0.002 0.332
Li 0.791 0.998 0.668
V 0.407 0.356 0.713
V 0.593 0.644 0.287
P 0.156 0.610 0.142
P 0.285 0.869 0.731
P 0.715 0.131 0.269
P 0.844 0.390 0.858
O 0.094 0.405 0.716
O 0.110 0.951 0.640
O 0.147 0.790 0.968
O 0.279 0.409 0.023
O 0.284 0.689 0.264
O 0.437 0.029 0.744
O 0.444 0.670 0.612
O 0.556 0.330 0.388
O 0.563 0.971 0.256
O 0.716 0.311 0.736
O 0.721 0.591 0.977
O 0.853 0.210 0.032
O 0.890 0.049 0.360
O 0.906 0.595 0.284

## Properties
The calculation puts the total energy at -79.731 eV per formula unit. The calculation puts the calculated volume at 11.7 Å³ per atom. The space group is P-1. The value obtained for the calculated density is 2.99 g/cm3.

Record 3
# LiVP4O12

A relaxed LiVP4O12 crystal (PBE with a Hubbard U, the Materials Project).

Lattice parameters (Å, degrees): 7.322 7.322 9.987 112.52 112.52 70.40
Fractional positions:
Li 0.032 0.968 0.750
Li 0.968 0.032 0.250
V 0.000 0.500 0.500
V 0.500 0.000 0.000
P 0.260 0.729 0.028
P 0.271 0.740 0.472
P 0.303 0.317 0.804
P 0.317 0.303 0.304
P 0.683 0.697 0.696
P 0.697 0.683 0.196
P 0.729 0.260 0.528
P 0.740 0.271 0.972
O 0.092 0.847 0.093
O 0.127 0.297 0.327
O 0.153 0.908 0.407
O 0.191 0.684 0.569
O 0.192 0.346 0.650
O 0.219 0.506 0.930
O 0.297 0.127 0.827
O 0.316 0.809 0.931
O 0.325 0.534 0.339
O 0.346 0.192 0.150
O 0.466 0.675 0.161
O 0.494 0.781 0.570
O 0.506 0.219 0.430
O 0.534 0.325 0.839
O 0.654 0.808 0.850
O 0.675 0.466 0.661
O 0.684 0.191 0.069
O 0.703 0.873 0.173
O 0.781 0.494 0.070
O 0.808 0.654 0.350
O 0.809 0.316 0.431
O 0.847 0.092 0.593
O 0.873 0.703 0.673
O 0.908 0.153 0.907

## Properties
Its energy above the lowest structure with this stoichiometry is 0.015 eV per atom. The calculation puts the total energy at -129.906 eV per formula unit. The calculation puts the calculated volume at 12.4 Å³ per atom. The space group is C2/c. The value obtained for the calculated density is 2.79 g/cm3.

Record 4
# Li8V3P8O29

A relaxed Li8V3P8O29 crystal (PBE with a Hubbard U, the Materials Project).

Lattice parameters (Å, degrees): 9.906 9.906 13.859 90.07 90.07 59.98
Fractional positions:
Li 0.003 0.997 0.000
Li 0.015 0.424 0.060
Li 0.017 0.557 0.557
Li 0.105 0.652 0.183
Li 0.108 0.241 0.681
Li 0.241 0.108 0.181
Li 0.241 0.648 0.684
Li 0.424 0.015 0.560
Li 0.425 0.559 0.057
Li 0.557 0.017 0.057
Li 0.559 0.425 0.557
Li 0.648 0.241 0.184
Li 0.652 0.105 0.683
Li 0.662 0.670 0.740
Li 0.670 0.662 0.240
Li 0.997 0.003 0.500
V 0.332 0.763 0.870
V 0.332 0.901 0.370
V 0.763 0.332 0.370
V 0.763 0.901 0.871
V 0.901 0.332 0.870
V 0.901 0.763 0.371
P 0.002 0.997 0.243
P 0.007 0.566 0.777
P 0.008 0.422 0.277
P 0.097 0.657 0.963
P 0.099 0.242 0.463
P 0.242 0.099 0.963
P 0.243 0.657 0.464
P 0.421 0.567 0.277
P 0.422 0.008 0.777
P 0.566 0.007 0.277
P 0.567 0.421 0.777
P 0.657 0.097 0.463
P 0.657 0.243 0.964
P 0.663 0.667 0.498
P 0.667 0.663 0.998
P 0.997 0.002 0.743
O 0.002 0.413 0.776
O 0.005 0.578 0.277
O 0.005 0.847 0.279
O 0.018 0.996 0.135
O 0.078 0.582 0.053
O 0.082 0.253 0.964
O 0.083 0.327 0.188
O 0.084 0.336 0.552
O 0.085 0.663 0.465
O 0.086 0.581 0.688
O 0.110 0.552 0.870
O 0.115 0.330 0.370
O 0.145 0.852 0.778
O 0.153 0.996 0.289
O 0.213 0.962 0.947
O 0.218 0.823 0.448
O 0.251 0.659 0.963
O 0.253 0.082 0.464
O 0.327 0.083 0.688
O 0.328 0.584 0.187
O 0.330 0.115 0.870
O 0.332 0.554 0.370
O 0.336 0.084 0.052
O 0.337 0.580 0.553
O 0.413 0.002 0.276
O 0.415 0.579 0.776
O 0.447 0.708 0.292
O 0.452 0.842 0.796
O 0.512 0.817 0.451
O 0.520 0.660 0.962
O 0.552 0.110 0.370
O 0.554 0.332 0.870
O 0.578 0.005 0.777
O 0.579 0.415 0.276
O 0.580 0.337 0.053
O 0.581 0.086 0.188
O 0.582 0.078 0.553
O 0.584 0.328 0.687
O 0.646 0.684 0.606
O 0.659 0.251 0.463
O 0.660 0.520 0.462
O 0.663 0.085 0.965
O 0.666 0.812 0.962
O 0.684 0.646 0.106
O 0.704 0.841 0.291
O 0.708 0.447 0.792
O 0.812 0.666 0.462
O 0.817 0.512 0.951
O 0.823 0.218 0.948
O 0.824 0.961 0.446
O 0.841 0.704 0.791
O 0.842 0.452 0.296
O 0.847 0.005 0.779
O 0.852 0.145 0.278
O 0.961 0.824 0.946
O 0.962 0.213 0.447
O 0.996 0.018 0.635
O 0.996 0.153 0.789

## Properties
Its energy above the lowest structure with this stoichiometry is 0.000 eV per atom. The calculation puts the total energy at -335.207 eV per formula unit. The calculation puts the calculated volume at 12.3 Å³ per atom. The space group is Cc. The value obtained for the calculated density is 2.59 g/cm3.

no.,total magnetic moment (Bohr magnetons per cell),corrected total energy (MP2020 scheme) (eV/atom)
1,4.0,-7.5861
2,4.0,-7.8400
3,4.0,-7.7694
4,10.0,-7.5048